(1)
A plane-wave DFT calculation with PBE was carried out for a relaxed ThGe crystal.

Unit cell a=4.3042 b=4.3042 c=4.3042 alpha=60.00 beta=60.00 gamma=60.00
With the nearest neighbours (Å) after each atom.
Sites, in units of the cell vectors:
Th (0.5000, 0.5000, 0.5000)  6 Ge 3.04
Ge (0.0000, 0.0000, 0.0000)  6 Th 3.04

Calculated values
- Total energy: -6.785 eV per atom

(2)
A plane-wave DFT calculation with PBE was carried out for a relaxed Ca3AsP crystal.

Unit cell a=5.4249 b=5.4249 c=5.4249 alpha=90.00 beta=90.00 gamma=90.00
With the nearest neighbours (Å) after each atom.
Sites, in units of the cell vectors:
Ca (0.0000, 0.5000, 0.5000)  2 As 2.71
Ca (0.5000, 0.0000, 0.5000)  2 As 2.71
Ca (0.5000, 0.5000, 0.0000)  2 As 2.71
As (0.5000, 0.5000, 0.5000)  6 Ca 2.71
P (0.0000, 0.0000, 0.0000)  12 Ca 3.84

Calculated values
- Energy above the most stable polymorph in this dataset: 223 meV/atom

(3)
A plane-wave DFT calculation with PBE was carried out for a relaxed Na4AlInSi2SO12 crystal.

Unit cell a=9.0431 b=9.0209 c=22.0089 alpha=89.78 beta=90.14 gamma=119.39
With the nearest neighbours (Å) after each atom.
Sites, in units of the cell vectors:
Na (0.6463, 0.9979, 0.2557)  6 O 2.47-2.69
Na (0.3569, 0.3688, 0.2418)  6 O 2.47-2.70
Na (0.9937, 0.6289, 0.2577)  5 O 2.41-2.59
Na (0.6243, 0.6306, 0.7329)  5 O 2.41-2.60
Na (0.9977, 0.3523, 0.7536)  4 O 2.41-2.57
Na (0.3814, 0.0139, 0.7531)  6 O 2.46-2.67
Na (0.3093, 0.3330, 0.5907)  4 O 2.36-2.60
Na (0.0407, 0.7143, 0.5742)  5 O 2.33-2.59
Na (0.6596, 0.9473, 0.5895)  6 O 2.47-2.57
Na (0.2874, 0.9683, 0.0744)  5 O 2.41-2.63
Na (0.6745, 0.6929, 0.0923)  4 O 2.34-2.61
Na (0.0498, 0.3397, 0.0906)  6 O 2.38-2.66
Na (0.9817, 0.6652, 0.9245)  4 O 2.36-2.59
Na (0.6945, 0.0421, 0.9037)  5 O 2.40-2.65
Na (0.3199, 0.2871, 0.9235)  6 O 2.39-2.67
Na (0.9598, 0.3031, 0.4069)  5 O 2.40-2.67
Na (0.3293, 0.0184, 0.4221)  7 O 2.50-2.79
Na (0.7055, 0.6742, 0.4251)  6 O 2.47-2.66
Na (0.9875, 0.9776, 0.4995)  5 O 2.41-2.61
Na (0.0218, 0.0126, 0.0012)  5 O 2.39-2.65
Na (0.6541, 0.3111, 0.8307)  5 O 2.36-2.63
Na (0.6796, 0.3411, 0.3354)  6 O 2.40-2.61
Na (0.3233, 0.6478, 0.1720)  6 O 2.37-2.63
Na (0.3492, 0.6773, 0.6633)  5 O 2.33-2.57
Al (0.9593, 0.9764, 0.3501)  4 O 1.77-1.92
Al (0.0002, 0.9984, 0.6452)  5 O 1.85-2.01
Al (0.6373, 0.3139, 0.6819)  4 O 1.76-1.89
Al (0.6875, 0.3677, 0.1894)  4 O 1.76-1.96
Al (0.6648, 0.3326, 0.4819)  5 O 1.85-2.07
Al (0.3283, 0.6690, 0.3194)  6 O 1.85-2.04
In (0.0120, 0.0194, 0.8455)  5 O 2.05-2.26
In (0.9970, 0.0021, 0.1569)  6 O 2.09-2.27
In (0.6671, 0.3359, 0.9844)  6 O 2.06-2.27
In (0.3195, 0.6544, 0.0209)  5 O 2.05-2.28
In (0.3476, 0.6867, 0.5156)  5 O 2.06-2.27
In (0.3323, 0.6658, 0.8108)  6 O 2.07-2.30
Si (0.6865, 0.6976, 0.2531)  4 O 1.63-1.66
Si (0.0011, 0.3014, 0.2535)  4 O 1.64-1.68
Si (0.2988, 0.2924, 0.7434)  4 O 1.64-1.66
Si (0.7109, 0.0103, 0.7414)  4 O 1.64-1.66
Si (0.3707, 0.0478, 0.5819)  4 O 1.62-1.68
Si (0.6752, 0.6180, 0.5828)  4 O 1.63-1.67
Si (0.9631, 0.6324, 0.0878)  4 O 1.63-1.64
Si (0.3804, 0.3318, 0.0895)  4 O 1.63-1.66
Si (0.0302, 0.3630, 0.9159)  4 O 1.64
Si (0.3337, 0.9646, 0.9153)  4 O 1.64
Si (0.6316, 0.9687, 0.4165)  4 O 1.64-1.67
Si (0.0343, 0.6719, 0.4153)  4 O 1.63-1.68
S (0.2989, 0.9944, 0.2546)  4 O 1.48-1.50
S (0.9934, 0.7052, 0.7443)  4 O 1.47-1.49
S (0.9469, 0.3260, 0.5817)  4 O 1.47-1.50
S (0.6672, 0.0410, 0.0873)  4 O 1.48-1.49
S (0.6342, 0.6700, 0.9151)  4 O 1.48
S (0.3326, 0.3719, 0.4159)  4 O 1.48-1.50
O (0.2073, 0.0187, 0.3056)  1 S 1.48
O (0.8240, 0.7933, 0.3072)  1 Si 1.63, 1 Al 1.77
O (0.9737, 0.1611, 0.3070)  1 Si 1.65
O (0.2416, 0.1900, 0.8081)  1 Si 1.64
O (0.9693, 0.7754, 0.8021)  1 S 1.49
O (0.8114, 0.0384, 0.8063)  1 Si 1.64
O (0.8137, 0.9810, 0.6856)  1 Si 1.64
O (0.1668, 0.1839, 0.6884)  1 Si 1.64
O (0.0065, 0.8140, 0.6917)  1 S 1.48
O (0.7553, 0.8172, 0.1917)  1 Si 1.65
O (0.0530, 0.2403, 0.1908)  1 Si 1.64
O (0.2049, 0.9680, 0.1964)  1 S 1.49
O (0.8656, 0.3462, 0.6363)  1 S 1.47
O (0.4876, 0.1346, 0.6412)  1 Si 1.62, 1 Al 1.76
O (0.6614, 0.5016, 0.6419)  1 Si 1.63, 1 Al 1.82
O (0.8624, 0.5132, 0.1459)  1 Si 1.63, 1 Al 1.76
O (0.6591, 0.1361, 0.1405)  1 S 1.48
O (0.5000, 0.3389, 0.1473)  1 Si 1.65, 1 Al 1.83
O (0.4464, 0.2999, 0.0243)  1 Si 1.63
O (0.8634, 0.5568, 0.0235)  1 Si 1.64
O (0.6764, 0.1251, 0.0285)  1 S 1.48
O (0.4668, 0.1659, 0.5216)  1 Si 1.65
O (0.6969, 0.5273, 0.5211)  1 Si 1.65
O (0.8482, 0.3124, 0.5255)  1 S 1.49
O (0.5547, 0.6891, 0.9711)  1 S 1.48
O (0.1473, 0.4385, 0.9769)  1 Si 1.64
O (0.3205, 0.8599, 0.9782)  1 Si 1.64
O (0.5804, 0.8524, 0.4786)  1 Si 1.64
O (0.2976, 0.4374, 0.4732)  1 S 1.49
O (0.1480, 0.7155, 0.4782)  1 Si 1.65
O (0.1389, 0.6417, 0.3608)  1 Si 1.63
O (0.4942, 0.8645, 0.3623)  1 Si 1.64
O (0.3518, 0.4848, 0.3640)  1 S 1.48
O (0.1176, 0.4727, 0.8540)  1 Si 1.64
O (0.3708, 0.8846, 0.8542)  1 Si 1.64
O (0.5370, 0.6568, 0.8592)  1 S 1.48
O (0.0158, 0.8462, 0.4051)  1 Si 1.68
O (0.8253, 0.9977, 0.4064)  1 Si 1.65, 1 Al 1.81
O (0.1885, 0.1972, 0.4077)  1 S 1.48
O (0.0000, 0.1688, 0.9167)  1 Si 1.64
O (0.1507, 0.9622, 0.9132)  1 Si 1.64
O (0.8058, 0.8198, 0.9123)  1 S 1.48
O (0.9620, 0.1678, 0.5830)  1 S 1.50
O (0.1768, 0.0272, 0.5874)  1 Si 1.68
O (0.8421, 0.8139, 0.5882)  1 Si 1.67
O (0.9803, 0.8222, 0.0910)  1 Si 1.64
O (0.8233, 0.0244, 0.0873)  1 S 1.49
O (0.1865, 0.1700, 0.0920)  1 Si 1.64
O (0.6963, 0.1867, 0.7354)  1 Si 1.66
O (0.4948, 0.3248, 0.7387)  1 Si 1.65, 1 Al 1.83
O (0.8495, 0.5306, 0.7399)  1 S 1.47
O (0.6719, 0.5073, 0.2478)  1 Si 1.66, 1 Al 1.86
O (0.8207, 0.3100, 0.2457)  1 Si 1.68
O (0.4721, 0.1447, 0.2516)  1 S 1.49
O (0.6459, 0.5117, 0.9155)  1 S 1.48
O (0.8456, 0.3559, 0.9176)  1 Si 1.64
O (0.4957, 0.1582, 0.9166)  1 Si 1.64
O (0.6454, 0.1586, 0.4249)  1 Si 1.67
O (0.4948, 0.3658, 0.4190)  1 S 1.50
O (0.8459, 0.4971, 0.4214)  1 Si 1.66
O (0.3800, 0.5157, 0.0890)  1 Si 1.66
O (0.1527, 0.6500, 0.0907)  1 Si 1.64
O (0.5140, 0.8688, 0.0889)  1 S 1.49
O (0.3481, 0.8540, 0.5833)  1 Si 1.66
O (0.4959, 0.6287, 0.5824)  1 Si 1.67
O (0.1218, 0.4759, 0.5787)  1 S 1.50
O (0.3145, 0.8372, 0.2605)  1 S 1.50
O (0.4969, 0.6750, 0.2655)  1 Si 1.65
O (0.1645, 0.4925, 0.2649)  1 Si 1.65
O (0.3088, 0.4807, 0.7439)  1 Si 1.66
O (0.1556, 0.6991, 0.7436)  1 S 1.49
O (0.5204, 0.8398, 0.7433)  1 Si 1.65

Calculated values
- Total energy: -6.249 eV per atom